The following is a DFT calculation (GGA+U) of an optimized crystal structure of CaLa2Co2Sb2Pb2O12.

## Properties
Formation energy from the elements ... -2.152 eV/atom
E_tot ... -6.4198 eV per atom
ΔE to the lowest computed polymorph ... 61 meV per atom
Volume ... 308.01 Å³/cell
Magnetic moment ... 4.00 μB per formula unit

Structure (extended XYZ):
```
21
Lattice="5.793 0.000 0.000 -0.406 5.868 0.000 -0.128 -0.877 9.060" Properties=species:S:1:pos:R:3 pbc="T T T"
Ca 0.000 0.000 0.000
La 3.031 5.210 2.775
La 5.484 1.710 6.819
Co 0.438 3.560 1.167
Co 2.938 1.707 4.931
Sb -0.097 4.635 4.923
Sb 3.117 2.137 0.465
Pb 0.567 1.647 3.054
Pb 2.487 4.191 7.063
O -0.344 4.428 2.909
O 0.104 5.074 6.883
O 1.100 3.018 5.229
O 1.363 2.028 8.537
O 1.996 0.522 1.026
O 2.006 -0.080 4.634
O 2.385 3.140 2.036
O 3.827 0.385 7.928
O 4.144 3.337 5.363
O 4.515 1.124 1.545
O 4.394 3.703 0.013
O 4.861 0.366 4.782
```

***

The following is a DFT calculation (GGA+U) of an optimized crystal structure of CaLa2Co2Sb2Pb2O12.

## Properties
Formation energy from the elements ... -2.213 eV/atom
E_tot ... -6.4809 eV per atom
ΔE to the lowest computed polymorph ... 0 meV per atom
Volume ... 325.21 Å³/cell
Magnetic moment ... 6.00 μB per formula unit

Structure (extended XYZ):
```
21
Lattice="5.721 0.000 0.000 0.160 5.967 0.000 0.370 2.025 9.526" Properties=species:S:1:pos:R:3 pbc="T T T"
Ca 0.000 0.000 0.000
La 0.499 2.372 5.996
La 3.283 3.532 0.339
Co 0.648 5.292 8.029
Co 3.474 2.270 4.070
Sb 0.599 5.391 4.017
Sb 3.370 2.488 8.070
Pb 0.532 2.264 2.207
Pb 3.389 5.570 6.084
O 0.772 4.801 5.948
O 1.784 0.986 4.576
O 2.016 3.831 8.676
O 2.089 6.987 7.960
O 2.587 3.036 2.480
O 3.141 2.836 6.116
O 3.481 5.866 0.432
O 4.866 3.818 8.291
O 4.824 6.623 4.505
O 4.984 7.040 7.617
O 5.269 3.338 3.943
O 5.682 3.768 0.538
```

***

The following is a DFT calculation (GGA+U) of an optimized crystal structure of CaLa2Co2Sb2Pb2O12.

## Properties
Formation energy from the elements ... -2.203 eV/atom
E_tot ... -6.4716 eV per atom
ΔE to the lowest computed polymorph ... 9 meV per atom
Volume ... 330.51 Å³/cell
Magnetic moment ... 6.00 μB per formula unit

Structure (extended XYZ):
```
21
Lattice="5.825 0.000 0.000 0.453 5.970 0.000 0.554 2.301 9.504" Properties=species:S:1:pos:R:3 pbc="T T T"
Ca 0.000 0.000 0.000
La 0.618 2.769 6.026
La 3.484 5.202 2.347
Co 0.726 5.562 4.080
Co 3.558 2.712 8.084
Sb 3.499 2.349 4.138
Sb 6.423 5.401 8.068
Pb 0.722 2.823 2.101
Pb 3.391 5.719 6.227
O 1.060 5.092 2.077
O 1.918 7.129 7.690
O 2.051 4.024 8.019
O 1.811 1.171 4.353
O 2.359 3.994 4.575
O 3.043 2.720 2.234
O 3.948 2.116 6.084
O 3.997 5.521 0.257
O 4.929 6.645 3.661
O 5.283 3.633 7.984
O 5.173 3.511 3.905
O 6.236 5.339 6.076
```

***

The following is a DFT calculation (GGA+U) of an optimized crystal structure of Ca7MgCo8O20.

## Properties
Formation energy from the elements ... -2.120 eV/atom
E_tot ... -6.1375 eV per atom
Volume ... 1751.60 Å³/cell
Magnetic moment ... 25.00 μB per formula unit

Structure (extended XYZ):
```
144
Lattice="10.683 0.000 0.000 -0.094 11.123 0.000 -5.168 -5.537 14.741" Properties=species:S:1:pos:R:3 pbc="T T T"
Ca 0.000 0.000 0.000
Ca 5.472 -0.040 14.721
Ca -2.626 8.321 7.366
Ca -2.564 2.710 7.399
Ca -2.545 -2.796 11.479
Ca 0.122 -0.075 4.202
Ca 0.081 5.500 4.219
Ca 2.647 2.507 0.042
Ca -2.515 2.507 14.708
Ca 0.104 5.250 7.385
Ca 0.149 -0.292 7.393
Ca 2.735 2.511 4.222
Ca 2.708 8.072 4.218
Ca 0.140 -0.048 14.695
Ca 2.742 2.740 7.327
Ca 2.714 8.302 7.318
Ca 0.162 5.510 14.674
Ca 2.785 2.827 11.478
Ca 5.396 -0.031 4.195
Ca 5.344 5.528 4.196
Ca 2.870 -2.812 11.485
Ca 5.354 5.293 7.345
Ca 7.923 8.069 0.027
Ca 5.428 -0.245 7.383
Ca 2.886 -3.068 14.724
Ca 5.421 5.337 11.499
Ca 8.079 2.494 4.187
Ca 8.062 8.042 4.198
Mg -2.873 2.888 11.373
Mg -0.267 5.124 11.340
Mg -0.071 -0.372 11.392
Mg 5.194 -0.436 11.419
Co -2.793 0.215 9.540
Co -2.766 5.709 9.424
Co -0.138 2.963 2.137
Co -0.167 8.504 2.091
Co -2.454 -0.121 12.995
Co 0.102 2.592 5.783
Co -2.502 5.415 13.107
Co 0.076 8.162 5.789
Co -0.154 2.285 9.521
Co 2.517 5.066 2.106
Co -0.011 -3.281 9.478
Co 2.586 -0.507 2.089
Co 0.255 -2.962 13.037
Co 0.214 2.624 13.010
Co 2.811 -0.157 5.782
Co 2.757 5.400 5.785
Co 2.505 5.745 9.455
Co 2.560 0.198 9.450
Co 5.150 8.509 2.110
Co 5.209 2.948 2.107
Co 2.881 -0.147 13.062
Co 2.828 5.416 13.065
Co 5.437 8.190 5.770
Co 5.481 2.622 5.782
Co 5.310 -3.239 9.387
Co 5.261 2.230 9.448
Co 7.858 5.061 2.062
Co 7.908 -0.515 2.101
Co 8.151 -0.158 5.780
Co 5.547 2.618 13.074
Co 5.593 -2.892 13.085
Co 8.114 5.385 5.775
O -2.478 -0.470 7.891
O -2.417 5.001 7.816
O 0.208 7.764 0.459
O 0.274 2.249 0.531
O -1.220 3.916 5.538
O -3.730 -4.229 12.881
O -1.156 -1.627 5.603
O -3.811 -1.352 13.209
O -3.631 1.506 12.765
O -1.212 1.201 5.998
O -1.251 6.767 5.976
O -3.815 4.169 13.321
O -2.118 2.038 9.667
O 0.584 4.760 2.081
O -2.029 7.492 9.459
O 0.561 10.304 2.056
O 0.145 7.845 3.771
O 0.206 2.267 3.798
O -2.331 4.822 10.968
O -2.097 -0.616 10.986
O 0.107 2.891 7.805
O 0.272 -2.645 7.787
O 2.866 5.777 0.464
O 2.987 0.240 0.459
O 1.486 -1.552 5.515
O 1.424 4.013 5.554
O -1.007 -4.560 12.658
O -1.128 -1.762 13.308
O -0.972 0.993 12.795
O 1.436 1.186 6.042
O -1.138 3.825 13.249
O 1.399 6.752 6.023
O 0.551 6.019 9.661
O 0.611 0.499 9.657
O 3.213 8.829 2.079
O 3.266 3.283 2.101
O 2.892 0.180 3.764
O 2.830 5.732 3.783
O 0.426 -2.350 10.993
O 0.408 3.231 10.970
O 2.745 5.066 7.768
O 2.813 -0.490 7.777
O 5.504 7.749 0.507
O 5.559 2.203 0.495
O 4.093 4.003 5.567
O 4.164 -1.537 5.550
O 1.579 -4.234 12.926
O 1.565 1.350 12.861
O 1.508 4.058 13.348
O 4.067 6.821 6.039
O 4.117 1.262 6.053
O 1.580 -1.410 13.312
O 3.325 1.967 9.437
O 3.287 7.521 9.413
O 5.916 4.748 2.068
O 5.874 10.299 2.079
O 5.491 7.850 3.794
O 5.553 2.301 3.791
O 3.172 -0.600 10.953
O 3.129 5.026 10.966
O 5.618 -2.563 7.729
O 5.563 2.934 7.783
O 8.235 5.809 0.445
O 8.273 0.209 0.495
O 6.765 4.053 5.602
O 6.839 -1.510 5.570
O 4.287 -4.309 12.919
O 4.324 1.066 12.742
O 6.765 1.259 6.023
O 6.729 6.823 6.017
O 4.239 -1.611 13.306
O 4.203 3.871 13.282
O 5.935 0.420 9.674
O 8.607 3.273 2.069
O 8.577 8.819 2.084
O 6.006 6.119 9.435
O 5.678 -2.395 10.946
O 8.197 5.755 3.698
O 8.277 0.206 3.723
O 5.769 3.110 10.958
```

***

The following is a DFT calculation (GGA+U) of an optimized crystal structure of CaMn4Co2O12.

## Properties
Formation energy from the elements ... -1.776 eV/atom
E_tot ... -6.7259 eV per atom
ΔE to the lowest computed polymorph ... 0 meV per atom
Volume ... 234.71 Å³/cell
Magnetic moment ... 20.00 μB per formula unit

Structure (extended XYZ):
```
19
Lattice="4.436 -2.524 0.000 4.436 2.524 0.000 -1.692 0.000 10.482" Properties=species:S:1:pos:R:3 pbc="T T T"
Ca 0.000 0.000 0.000
Mn 2.927 1.732 2.788
Mn 4.253 1.732 7.695
Mn 2.799 -0.786 7.696
Mn 4.382 -0.786 2.786
Co 1.446 -0.802 2.920
Co 5.735 -0.802 7.562
O 1.407 0.879 1.772
O -0.134 0.104 3.776
O 1.309 0.023 6.745
O 2.842 0.907 8.735
O 4.338 0.907 1.747
O 2.989 0.098 3.761
O 4.191 0.098 6.721
O 5.773 0.879 8.710
O 3.019 -1.671 1.731
O 5.872 0.023 3.738
O 7.315 0.104 6.706
O 4.161 -1.671 8.752
```

***

The following is a DFT calculation (GGA+U) of an optimized crystal structure of Ca3MnCoO6.

## Properties
Formation energy from the elements ... -2.610 eV/atom
E_tot ... -6.6595 eV per atom
Volume ... 262.50 Å³/cell
Magnetic moment ... 0.00 μB per formula unit

Structure (extended XYZ):
```
22
Lattice="6.401 0.000 0.000 -0.219 6.404 0.000 -0.221 -0.231 6.404" Properties=species:S:1:pos:R:3 pbc="T T T"
Ca 0.000 0.000 0.000
Ca 0.585 3.009 5.507
Ca 2.168 1.699 2.292
Ca 2.989 4.944 1.410
Ca 3.790 3.940 4.615
Ca 5.367 0.769 3.194
Mn 1.259 5.553 3.918
Mn 4.677 2.478 0.709
Co -0.190 3.991 2.297
Co 2.997 0.710 5.475
O 0.111 2.169 1.240
O 0.772 5.909 2.078
O 1.122 0.971 4.454
O 1.629 3.732 3.381
O 1.740 5.194 5.748
O 2.849 2.786 0.188
O 3.095 6.094 3.618
O 4.196 0.630 0.998
O 4.319 2.947 2.543
O 4.825 1.768 5.270
O 5.153 4.321 0.407
O 5.836 5.024 4.208
```

***

Question: Look up the volume of the third one.
Answer: 330.51 Å³/cell

***

Question: volume of number 5 (CaMn4Co2O12)?
Answer: 234.71 Å³/cell

***

Question: Among the records above, which one has the lowest magnetic moment?
Answer: Ca3MnCoO6

***

Please write out number 2 again, unchanged.
The following is a DFT calculation (GGA+U) of an optimized crystal structure of CaLa2Co2Sb2Pb2O12.

## Properties
Formation energy from the elements ... -2.213 eV/atom
E_tot ... -6.4809 eV per atom
ΔE to the lowest computed polymorph ... 0 meV per atom
Volume ... 325.21 Å³/cell
Magnetic moment ... 6.00 μB per formula unit

Structure (extended XYZ):
```
21
Lattice="5.721 0.000 0.000 0.160 5.967 0.000 0.370 2.025 9.526" Properties=species:S:1:pos:R:3 pbc="T T T"
Ca 0.000 0.000 0.000
La 0.499 2.372 5.996
La 3.283 3.532 0.339
Co 0.648 5.292 8.029
Co 3.474 2.270 4.070
Sb 0.599 5.391 4.017
Sb 3.370 2.488 8.070
Pb 0.532 2.264 2.207
Pb 3.389 5.570 6.084
O 0.772 4.801 5.948
O 1.784 0.986 4.576
O 2.016 3.831 8.676
O 2.089 6.987 7.960
O 2.587 3.036 2.480
O 3.141 2.836 6.116
O 3.481 5.866 0.432
O 4.866 3.818 8.291
O 4.824 6.623 4.505
O 4.984 7.040 7.617
O 5.269 3.338 3.943
O 5.682 3.768 0.538
```